# 1
NaFe11O17 | the Materials Project | GGA+U | optimized geometry; ΔH_f (0 K) = -1.611 eV per atom; density = 3.960 Mg/m³; crystal system = triclinic; energy above the most stable polymorph in this dataset = 0 meV per atom; E_tot = -6.51 eV/atom
1.0
6.033 0.000 0.000
3.011 5.245 0.000
0.046 0.107 24.095
Na Fe O
2 22 34
direct
0.000 0.000 0.000 Na
0.331 0.334 0.499 Na
0.000 0.001 0.274 Fe
0.001 0.002 0.723 Fe
0.001 0.997 0.575 Fe
0.001 0.998 0.423 Fe
0.003 0.499 0.355 Fe
0.007 0.492 0.645 Fe
0.331 0.834 0.142 Fe
0.332 0.334 0.774 Fe
0.332 0.835 0.855 Fe
0.333 0.334 0.074 Fe
0.334 0.333 0.223 Fe
0.334 0.333 0.923 Fe
0.499 0.501 0.641 Fe
0.500 0.001 0.355 Fe
0.500 0.499 0.355 Fe
0.502 0.999 0.642 Fe
0.665 0.670 0.748 Fe
0.667 0.667 0.249 Fe
0.834 0.332 0.142 Fe
0.834 0.834 0.142 Fe
0.835 0.331 0.855 Fe
0.835 0.835 0.855 Fe
0.000 0.000 0.193 O
0.000 0.001 0.804 O
0.000 0.999 0.499 O
0.160 0.160 0.101 O
0.160 0.680 0.101 O
0.161 0.160 0.896 O
0.161 0.679 0.896 O
0.168 0.652 0.602 O
0.174 0.172 0.396 O
0.174 0.652 0.397 O
0.181 0.161 0.600 O
0.328 0.338 0.693 O
0.334 0.333 0.304 O
0.335 0.333 0.998 O
0.353 0.822 0.697 O
0.353 0.824 0.299 O
0.508 0.981 0.799 O
0.509 0.509 0.799 O
0.510 0.510 0.198 O
0.510 0.980 0.198 O
0.653 0.176 0.601 O
0.655 0.172 0.396 O
0.667 0.666 0.392 O
0.667 0.666 0.891 O
0.667 0.667 0.106 O
0.680 0.160 0.101 O
0.681 0.159 0.896 O
0.682 0.661 0.607 O
0.816 0.834 0.699 O
0.824 0.353 0.299 O
0.824 0.823 0.299 O
0.827 0.356 0.697 O
0.980 0.510 0.799 O
0.981 0.510 0.198 O

# 2
LiFeF4 | the Materials Project | GGA+U | optimized geometry; ΔH_f (0 K) = -2.350 eV per atom; density = 3.362 Mg/m³; crystal system = orthorhombic; energy above the most stable polymorph in this dataset = 475 meV per atom; E_tot = -4.67 eV/atom
1.0
4.727 0.000 0.000
0.000 5.676 0.000
0.000 0.000 10.219
Li Fe F
4 4 16
direct
0.000 0.176 0.250 Li
0.000 0.824 0.750 Li
0.500 0.324 0.750 Li
0.500 0.676 0.250 Li
0.000 0.500 0.000 Fe
0.000 0.500 0.500 Fe
0.500 0.000 0.000 Fe
0.500 0.000 0.500 Fe
0.213 0.485 0.157 F
0.213 0.515 0.657 F
0.226 0.234 0.422 F
0.226 0.766 0.922 F
0.274 0.266 0.922 F
0.274 0.734 0.422 F
0.287 0.015 0.657 F
0.287 0.985 0.157 F
0.713 0.015 0.843 F
0.713 0.985 0.343 F
0.726 0.266 0.578 F
0.726 0.734 0.078 F
0.774 0.234 0.078 F
0.774 0.766 0.578 F
0.787 0.485 0.343 F
0.787 0.515 0.843 F

# 3
MgAl4Cr2O10 | the Materials Project | GGA+U | optimized geometry; ΔH_f (0 K) = -2.966 eV per atom; density = 4.014 Mg/m³; crystal system = triclinic; energy above the most stable polymorph in this dataset = 0 meV per atom; E_tot = -7.35 eV/atom
1.0
4.972 0.000 0.000
-2.429 4.883 0.000
-0.098 -2.845 6.752
Mg Al Cr O
1 4 2 10
direct
0.000 0.000 0.000 Mg
0.556 0.124 0.242 Al
0.565 0.143 0.703 Al
0.804 0.602 0.143 Al
0.816 0.648 0.612 Al
0.195 0.397 0.424 Cr
0.212 0.440 0.896 Cr
0.164 0.017 0.754 O
0.210 0.796 0.089 O
0.392 0.373 0.164 O
0.459 0.233 0.486 O
0.554 0.787 0.576 O
0.645 0.580 0.865 O
0.789 0.237 0.959 O
0.828 0.986 0.246 O
0.911 0.535 0.357 O
0.990 0.412 0.660 O

# 4
Sr4LiMn2Ga2O11 | the Materials Project | GGA+U | optimized geometry; ΔH_f (0 K) = -2.458 eV per atom; density = 5.205 Mg/m³; crystal system = monoclinic; energy above the most stable polymorph in this dataset = 29 meV per atom; E_tot = -6.29 eV/atom
1.0
4.172 -3.925 0.000
4.172 3.925 0.000
-4.166 0.000 7.625
Sr Li Mn Ga O
4 1 2 2 11
direct
0.000 0.000 0.000 Sr
0.289 0.289 0.502 Sr
0.501 0.501 0.000 Sr
0.715 0.715 0.501 Sr
0.961 0.961 0.418 Li
0.121 0.610 0.230 Mn
0.610 0.121 0.230 Mn
0.388 0.862 0.747 Ga
0.862 0.388 0.747 Ga
0.049 0.434 0.983 O
0.122 0.621 0.742 O
0.207 0.793 0.500 O
0.370 0.871 0.241 O
0.392 0.392 0.282 O
0.434 0.049 0.983 O
0.621 0.122 0.742 O
0.621 0.621 0.739 O
0.793 0.207 0.500 O
0.844 0.844 0.188 O
0.871 0.370 0.241 O